# Nd3NiSn7 meta-GGA r2SCAN optimized geometry
data_Nd3NiSn7
_chemical_formula_sum 'Nd6 Ni2 Sn14'
_space_group_name_H-M_alt 'A m m 2'
_space_group_IT_number 38
_cell_length_a 4.552
_cell_length_b 4.529
_cell_length_c 27.436
_cell_angle_alpha 90.00
_cell_angle_beta 90.00
_cell_angle_gamma 90.00
loop_
_space_group_symop_operation_xyz
'x,y,z'
'-x,-y,z'
'-x,y,z'
'x,-y,z'
'x,y+1/2,z+1/2'
'-x,-y+1/2,z+1/2'
'-x,y+1/2,z+1/2'
'x,-y+1/2,z+1/2'
loop_
_atom_site_label
_atom_site_type_symbol
_atom_site_fract_x
_atom_site_fract_y
_atom_site_fract_z
Nd1 Nd 0.000 0.000 0.000
Nd2 Nd 0.000 0.000 0.371
Nd3 Nd 0.500 0.000 0.686
Ni1 Ni 0.500 0.000 0.815
Sn1 Sn 0.000 0.000 0.183
Sn2 Sn 0.000 0.000 0.591
Sn3 Sn 0.000 0.000 0.776
Sn4 Sn 0.500 0.000 0.091
Sn5 Sn 0.500 0.000 0.276
Sn6 Sn 0.500 0.000 0.473
Sn7 Sn 0.500 0.000 0.905
# - Final energy: -560.4 eV/cell
# - Volume: 565.6 Å³/cell
# - Total magnetic moment: 0.000 μB/cell
# - Energy relative to the elements: -14.13 kcal/mol of atoms